[1]
Entry from the Materials Project: an optimized crystal structure of Ti5CuSb3 (meta-GGA r2SCAN).

Values from the calculation:
- Space group: P6_3/mcm, No. 193
- Formation energy from the elements: -4.824 eV per formula unit
- E_tot: -17.4976 eV/atom

a b c (Å): 8.153 8.153 5.478
angles (deg): 90.00 90.00 120.00
Positions (direct):
Ti1 0.000 0.267 0.250
Ti2 0.000 0.733 0.750
Ti3 0.267 0.000 0.250
Ti4 0.267 0.267 0.750
Ti5 0.333 0.667 0.000
Ti6 0.333 0.667 0.500
Ti7 0.667 0.333 0.000
Ti8 0.667 0.333 0.500
Ti9 0.733 0.000 0.750
Ti10 0.733 0.733 0.250
Cu1 0.000 0.000 0.000
Cu2 0.000 0.000 0.500
Sb1 0.000 0.383 0.750
Sb2 0.000 0.617 0.250
Sb3 0.383 0.000 0.750
Sb4 0.383 0.383 0.250
Sb5 0.617 0.000 0.250
Sb6 0.617 0.617 0.750

---

[2]
Entry from the Materials Project: an optimized crystal structure of Y5Ge3 (meta-GGA r2SCAN).

Values from the calculation:
- Space group: P6_3/mcm, No. 193
- Formation energy from the elements: -7.434 eV per formula unit
- E_tot: -18.8273 eV/atom

a b c (Å): 8.493 8.493 6.445
angles (deg): 90.00 90.00 120.00
Positions (direct):
Y1 0.000 0.243 0.250
Y2 0.000 0.757 0.750
Y3 0.243 0.000 0.250
Y4 0.243 0.243 0.750
Y5 0.333 0.667 0.000
Y6 0.333 0.667 0.500
Y7 0.667 0.333 0.000
Y8 0.667 0.333 0.500
Y9 0.757 0.000 0.750
Y10 0.757 0.757 0.250
Ge1 0.000 0.393 0.750
Ge2 0.000 0.607 0.250
Ge3 0.393 0.000 0.750
Ge4 0.393 0.393 0.250
Ge5 0.607 0.000 0.250
Ge6 0.607 0.607 0.750

---

[3]
Entry from the Materials Project: an optimized crystal structure of TaSb3O8 (meta-GGA r2SCAN).

Values from the calculation:
- Space group: Pc, No. 7
- Formation energy from the elements: -23.966 eV per formula unit
- E_tot: -16.4547 eV/atom

a b c (Å): 4.892 5.500 12.789
angles (deg): 90.00 112.30 90.00
Positions (direct):
Ta1 0.000 0.119 0.000
Ta2 0.000 0.881 0.500
Sb1 0.294 0.272 0.748
Sb2 0.294 0.728 0.248
Sb3 0.493 0.381 0.497
Sb4 0.493 0.619 0.997
Sb5 0.708 0.224 0.249
Sb6 0.708 0.776 0.749
O1 0.148 0.169 0.440
O2 0.148 0.831 0.940
O3 0.239 0.330 0.943
O4 0.239 0.670 0.443
O5 0.315 0.069 0.151
O6 0.315 0.931 0.651
O7 0.491 0.432 0.652
O8 0.491 0.568 0.152
O9 0.504 0.401 0.338
O10 0.504 0.599 0.838
O11 0.676 0.098 0.840
O12 0.676 0.902 0.340
O13 0.762 0.109 0.549
O14 0.762 0.891 0.049
O15 0.832 0.394 0.046
O16 0.832 0.606 0.546

---

[4]
Entry from the Materials Project: an optimized crystal structure of Cu3AsS4 (meta-GGA r2SCAN).

Values from the calculation:
- Space group: Pmn2_1, No. 31
- Formation energy from the elements: -2.191 eV per formula unit
- E_tot: -10.1969 eV/atom

a b c (Å): 7.365 6.398 6.121
angles (deg): 90.00 90.00 90.00
Positions (direct):
Cu1 0.000 0.160 0.000
Cu2 0.250 0.329 0.497
Cu3 0.250 0.671 0.997
Cu4 0.500 0.840 0.500
Cu5 0.750 0.329 0.497
Cu6 0.750 0.671 0.997
As1 0.000 0.830 0.503
As2 0.500 0.170 0.003
S1 0.000 0.158 0.628
S2 0.000 0.828 0.136
S3 0.249 0.663 0.626
S4 0.251 0.337 0.126
S5 0.500 0.172 0.636
S6 0.500 0.842 0.128
S7 0.749 0.337 0.126
S8 0.751 0.663 0.626

---

[5]
Entry from the Materials Project: an optimized crystal structure of Mo2P2O11 (meta-GGA r2SCAN).

Values from the calculation:
- Space group: P2_1/m, No. 11
- Formation energy from the elements: -33.219 eV per formula unit
- E_tot: -11.2710 eV/atom

a b c (Å): 7.470 6.345 9.019
angles (deg): 90.00 105.04 90.00
Positions (direct):
Mo1 0.105 0.250 0.212
Mo2 0.323 0.250 0.648
Mo3 0.677 0.750 0.352
Mo4 0.895 0.750 0.788
P1 0.012 0.750 0.169
P2 0.431 0.750 0.617
P3 0.569 0.250 0.383
P4 0.988 0.250 0.831
O1 0.094 0.250 0.702
O2 0.127 0.750 0.848
O3 0.129 0.250 0.984
O4 0.138 0.558 0.197
O5 0.138 0.942 0.197
O6 0.144 0.250 0.411
O7 0.307 0.555 0.615
O8 0.307 0.945 0.615
O9 0.403 0.250 0.249
O10 0.466 0.250 0.821
O11 0.481 0.750 0.461
O12 0.519 0.250 0.539
O13 0.534 0.750 0.179
O14 0.597 0.750 0.751
O15 0.693 0.055 0.385
O16 0.693 0.445 0.385
O17 0.856 0.750 0.589
O18 0.862 0.058 0.803
O19 0.862 0.442 0.803
O20 0.871 0.750 0.016
O21 0.873 0.250 0.152
O22 0.906 0.750 0.298

---

[6]
Entry from the Materials Project: an optimized crystal structure of SmMn2Ge2 (meta-GGA r2SCAN).

Values from the calculation:
- Space group: I4/mmm, No. 139
- Formation energy from the elements: -3.260 eV per formula unit
- E_tot: -18.0207 eV/atom

a b c (Å): 6.264 6.264 6.264
angles (deg): 141.47 141.47 55.63
Positions (direct):
Sm1 0.000 0.000 0.000
Mn1 0.250 0.750 0.500
Mn2 0.750 0.250 0.500
Ge1 0.386 0.386 0.000
Ge2 0.614 0.614 0.000

---

[7]
Entry from the Materials Project: an optimized crystal structure of LiLu2Os (meta-GGA r2SCAN).

Values from the calculation:
- Space group: Fm-3m, No. 225
- Formation energy from the elements: -1.457 eV per formula unit
- E_tot: -33.2472 eV/atom

a b c (Å): 4.766 4.766 4.766
angles (deg): 60.00 60.00 60.00
Positions (direct):
Li1 0.000 0.000 0.000
Lu1 0.250 0.250 0.250
Lu2 0.750 0.750 0.750
Os1 0.500 0.500 0.500

---

[8]
Entry from the Materials Project: an optimized crystal structure of Rb2Mg2Be3F12 (meta-GGA r2SCAN).

Values from the calculation:
- Space group: P2_13, No. 198
- Formation energy from the elements: -67.535 eV per formula unit
- E_tot: -8.1190 eV/atom

a b c (Å): 9.928 9.928 9.928
angles (deg): 90.00 90.00 90.00
Positions (direct):
Rb1 0.042 0.042 0.042
Rb2 0.184 0.316 0.684
Rb3 0.316 0.684 0.184
Rb4 0.458 0.958 0.542
Rb5 0.542 0.458 0.958
Rb6 0.684 0.184 0.316
Rb7 0.816 0.816 0.816
Rb8 0.958 0.542 0.458
Mg1 0.103 0.897 0.397
Mg2 0.165 0.665 0.835
Mg3 0.335 0.335 0.335
Mg4 0.397 0.103 0.897
Mg5 0.603 0.603 0.603
Mg6 0.665 0.835 0.165
Mg7 0.835 0.165 0.665
Mg8 0.897 0.397 0.103
Be1 0.021 0.208 0.375
Be2 0.125 0.979 0.708
Be3 0.208 0.375 0.021
Be4 0.292 0.625 0.521
Be5 0.375 0.021 0.208
Be6 0.479 0.792 0.875
Be7 0.521 0.292 0.625
Be8 0.625 0.521 0.292
Be9 0.708 0.125 0.979
Be10 0.792 0.875 0.479
Be11 0.875 0.479 0.792
Be12 0.979 0.708 0.125
F1 0.007 0.562 0.768
F2 0.009 0.059 0.330
F3 0.047 0.798 0.233
F4 0.059 0.330 0.009
F5 0.062 0.732 0.993
F6 0.100 0.832 0.750
F7 0.168 0.250 0.400
F8 0.170 0.991 0.559
F9 0.202 0.733 0.453
F10 0.232 0.507 0.938
F11 0.233 0.047 0.798
F12 0.250 0.400 0.168
F13 0.250 0.600 0.668
F14 0.267 0.953 0.298
F15 0.268 0.493 0.438
F16 0.298 0.267 0.953
F17 0.330 0.009 0.059
F18 0.332 0.750 0.900
F19 0.400 0.168 0.250
F20 0.438 0.268 0.493
F21 0.441 0.670 0.509
F22 0.453 0.202 0.733
F23 0.491 0.941 0.830
F24 0.493 0.438 0.268
F25 0.507 0.938 0.232
F26 0.509 0.441 0.670
F27 0.547 0.702 0.767
F28 0.559 0.170 0.991
F29 0.562 0.768 0.007
F30 0.600 0.668 0.250
F31 0.668 0.250 0.600
F32 0.670 0.509 0.441
F33 0.702 0.767 0.547
F34 0.732 0.993 0.062
F35 0.733 0.453 0.202
F36 0.750 0.100 0.832
F37 0.750 0.900 0.332
F38 0.767 0.547 0.702
F39 0.768 0.007 0.562
F40 0.798 0.233 0.047
F41 0.830 0.491 0.941
F42 0.832 0.750 0.100
F43 0.900 0.332 0.750
F44 0.938 0.232 0.507
F45 0.941 0.830 0.491
F46 0.953 0.298 0.267
F47 0.991 0.559 0.170
F48 0.993 0.062 0.732